Compound: FeP2O7
Source: the Materials Project database
Functional: GGA+U
Structure: relaxed

Structure (POSCAR):
```
FeP2O7
1.0
-1.819 -5.892 1.813
0.885 -3.102 -5.559
11.460 -7.000 1.553
O P Fe
28 8 4
Direct
0.128 0.913 0.623 O
0.897 0.732 0.323 O
0.466 0.554 0.858 O
0.423 0.984 0.697 O
0.819 0.638 0.626 O
0.446 0.534 0.642 O
0.228 0.591 0.490 O
0.554 0.466 0.358 O
0.984 0.423 0.197 O
0.615 0.806 0.483 O
0.181 0.362 0.374 O
0.016 0.577 0.803 O
0.872 0.087 0.377 O
0.362 0.181 0.874 O
0.385 0.194 0.517 O
0.103 0.268 0.677 O
0.591 0.228 0.990 O
0.534 0.446 0.142 O
0.409 0.772 0.010 O
0.577 0.016 0.303 O
0.732 0.897 0.823 O
0.194 0.385 0.017 O
0.268 0.103 0.177 O
0.913 0.128 0.123 O
0.806 0.615 0.983 O
0.638 0.819 0.126 O
0.087 0.872 0.877 O
0.772 0.409 0.510 O
0.914 0.748 0.866 P
0.086 0.252 0.134 P
0.252 0.086 0.634 P
0.412 0.333 0.931 P
0.588 0.667 0.069 P
0.667 0.588 0.569 P
0.748 0.914 0.366 P
0.333 0.412 0.431 P
0.591 0.122 0.147 Fe
0.878 0.409 0.353 Fe
0.122 0.591 0.647 Fe
0.409 0.878 0.853 Fe
```

- excess energy over the best structure of this formula in the dataset (meV/atom) = 22.9
- V (Å³/cell) = 516
- space-group type = C2/c (15)
- spin magnetization (μB/f.u.) = 5.00

Compound: Fe2P2O7
Source: the Materials Project database
Functional: GGA+U
Structure: relaxed

Structure (POSCAR):
```
Fe2P2O7
1.0
-7.304 5.676 4.076
-2.424 -3.764 0.899
2.055 -0.976 5.041
O P Fe
14 4 4
Direct
0.198 0.387 0.762 O
0.000 0.500 0.500 O
0.463 0.787 0.354 O
0.302 0.387 0.262 O
0.963 0.213 0.146 O
0.802 0.613 0.238 O
0.037 0.787 0.854 O
0.698 0.613 0.738 O
0.537 0.213 0.646 O
0.319 0.875 0.977 O
0.819 0.125 0.523 O
0.681 0.125 0.023 O
0.500 0.500 0.000 O
0.181 0.875 0.477 O
0.391 0.643 0.155 P
0.109 0.643 0.655 P
0.609 0.357 0.845 P
0.891 0.357 0.345 P
0.342 0.113 0.601 Fe
0.658 0.887 0.399 Fe
0.158 0.113 0.101 Fe
0.842 0.887 0.899 Fe
```

- total DFT energy (no corrections) (eV per atom) = -7.18
- V (Å³/cell) = 253
- space-group type = P2_1/c (14)
- spin magnetization (μB/f.u.) = 8.00

Compound: FePO4
Source: the Materials Project database
Functional: GGA+U
Structure: relaxed

Structure (POSCAR):
```
FePO4
1.0
5.376 -8.447 -2.722
7.495 0.479 -7.159
15.780 0.413 8.366
Fe O P
16 64 16
Direct
0.374 0.437 0.690 Fe
0.500 0.871 0.187 Fe
0.688 0.256 0.938 Fe
0.256 0.688 0.438 Fe
0.758 0.620 0.440 Fe
0.754 0.121 0.439 Fe
0.620 0.758 0.940 Fe
0.189 0.253 0.938 Fe
0.871 0.999 0.686 Fe
0.937 0.372 0.189 Fe
0.372 0.937 0.689 Fe
0.121 0.754 0.939 Fe
0.253 0.189 0.438 Fe
0.871 0.500 0.687 Fe
0.999 0.871 0.186 Fe
0.437 0.374 0.190 Fe
0.664 0.920 0.148 O
0.080 0.163 0.191 O
0.012 0.356 0.620 O
0.517 0.420 0.894 O
0.519 0.504 0.624 O
0.136 0.161 0.044 O
0.610 0.250 0.370 O
0.912 0.829 0.940 O
0.829 0.912 0.440 O
0.661 0.658 0.544 O
0.662 0.061 0.691 O
0.007 0.515 0.124 O
0.157 0.659 0.044 O
0.662 0.564 0.691 O
0.660 0.929 0.900 O
0.014 0.855 0.619 O
0.408 0.389 0.795 O
0.927 0.159 0.402 O
0.635 0.164 0.044 O
0.410 0.832 0.942 O
0.108 0.272 0.371 O
0.920 0.664 0.648 O
0.770 0.415 0.146 O
0.416 0.272 0.646 O
0.403 0.910 0.292 O
0.272 0.416 0.146 O
0.504 0.519 0.124 O
0.659 0.157 0.544 O
0.515 0.007 0.624 O
0.749 0.613 0.872 O
0.929 0.660 0.400 O
0.250 0.610 0.870 O
0.773 0.109 0.873 O
0.109 0.773 0.373 O
0.564 0.662 0.191 O
0.891 0.399 0.295 O
0.159 0.927 0.902 O
0.658 0.661 0.044 O
0.165 0.582 0.691 O
0.910 0.403 0.792 O
0.389 0.408 0.295 O
0.335 0.312 0.443 O
0.335 0.815 0.440 O
0.399 0.891 0.795 O
0.061 0.662 0.191 O
0.415 0.770 0.646 O
0.900 0.903 0.792 O
0.356 0.012 0.120 O
0.855 0.014 0.119 O
0.165 0.917 0.147 O
0.917 0.165 0.647 O
0.582 0.165 0.191 O
0.272 0.108 0.871 O
0.161 0.136 0.544 O
0.312 0.335 0.943 O
0.018 0.422 0.896 O
0.420 0.517 0.394 O
0.163 0.080 0.691 O
0.164 0.635 0.544 O
0.832 0.410 0.442 O
0.422 0.018 0.396 O
0.815 0.335 0.940 O
0.903 0.900 0.292 O
0.613 0.749 0.372 O
0.067 0.683 0.625 P
0.565 0.623 0.626 P
0.124 0.563 0.126 P
0.941 0.309 0.377 P
0.810 0.943 0.876 P
0.683 0.067 0.125 P
0.873 0.444 0.875 P
0.309 0.941 0.877 P
0.064 0.184 0.625 P
0.184 0.064 0.125 P
0.439 0.372 0.375 P
0.623 0.565 0.126 P
0.563 0.124 0.626 P
0.372 0.439 0.875 P
0.444 0.873 0.375 P
0.943 0.810 0.376 P
```

- total DFT energy (no corrections) (eV per atom) = -7.10
- V (Å³/cell) = 1533
- space-group type = Cc (9)
- spin magnetization (μB/f.u.) = 5.00

Compound: Fe3P4O15
Source: the Materials Project database
Functional: GGA+U
Structure: relaxed

Structure (POSCAR):
```
Fe3P4O15
1.0
-5.215 -3.275 1.843
6.065 -9.129 0.941
3.420 4.003 16.786
O Fe P
60 12 16
Direct
0.402 0.022 0.151 O
0.098 0.136 0.090 O
0.598 0.864 0.910 O
0.044 0.362 0.763 O
0.583 0.140 0.443 O
0.860 0.219 0.995 O
0.033 0.624 0.553 O
0.612 0.113 0.262 O
0.784 0.978 0.160 O
0.271 0.466 0.862 O
0.887 0.503 0.863 O
0.612 0.387 0.762 O
0.275 0.789 0.143 O
0.098 0.364 0.590 O
0.608 0.083 0.747 O
0.782 0.250 0.137 O
0.583 0.360 0.943 O
0.112 0.887 0.738 O
0.072 0.364 0.070 O
0.282 0.750 0.863 O
0.112 0.613 0.238 O
0.544 0.862 0.737 O
0.572 0.636 0.930 O
0.044 0.138 0.263 O
0.540 0.896 0.264 O
0.360 0.781 0.005 O
0.402 0.478 0.651 O
0.108 0.917 0.253 O
0.284 0.022 0.840 O
0.544 0.638 0.237 O
0.040 0.396 0.236 O
0.608 0.417 0.247 O
0.902 0.522 0.349 O
0.072 0.136 0.570 O
0.387 0.497 0.137 O
0.282 0.750 0.363 O
0.771 0.534 0.138 O
0.572 0.864 0.430 O
0.108 0.583 0.753 O
0.083 0.640 0.057 O
0.387 0.003 0.637 O
0.598 0.636 0.410 O
0.782 0.250 0.637 O
0.360 0.719 0.505 O
0.533 0.124 0.947 O
0.540 0.604 0.764 O
0.860 0.281 0.495 O
0.775 0.289 0.357 O
0.284 0.478 0.340 O
0.902 0.978 0.849 O
0.083 0.860 0.557 O
0.533 0.376 0.447 O
0.775 0.211 0.857 O
0.033 0.876 0.053 O
0.271 0.034 0.362 O
0.040 0.104 0.736 O
0.771 0.966 0.638 O
0.784 0.522 0.660 O
0.275 0.711 0.643 O
0.887 0.997 0.363 O
0.593 0.482 0.358 Fe
0.578 0.008 0.368 Fe
0.093 0.518 0.642 Fe
0.816 0.259 0.248 Fe
0.078 0.992 0.632 Fe
0.593 0.018 0.858 Fe
0.078 0.508 0.132 Fe
0.816 0.241 0.748 Fe
0.316 0.741 0.752 Fe
0.316 0.759 0.252 Fe
0.093 0.982 0.142 Fe
0.578 0.492 0.868 Fe
0.455 0.744 0.423 P
0.085 0.999 0.795 P
0.176 0.734 0.564 P
0.076 0.476 0.813 P
0.176 0.766 0.064 P
0.576 0.524 0.187 P
0.676 0.234 0.936 P
0.955 0.244 0.077 P
0.076 0.024 0.313 P
0.955 0.256 0.577 P
0.576 0.976 0.687 P
0.676 0.266 0.436 P
0.455 0.756 0.923 P
0.585 0.499 0.705 P
0.585 0.001 0.205 P
0.085 0.501 0.295 P
```

- excess energy over the best structure of this formula in the dataset (meV/atom) = 0.0
- V (Å³/cell) = 1244
- space-group type = Pna2_1 (33)
- spin magnetization (μB/f.u.) = 4.00

Compound: Fe3P4O14
Source: the Materials Project database
Functional: GGA+U
Structure: relaxed

Structure (POSCAR):
```
Fe3P4O14
1.0
5.613 0.000 0.000
2.313 6.490 0.000
1.575 1.228 7.194
Fe P O
3 4 14
Direct
0.770 0.510 0.669 Fe
0.230 0.490 0.331 Fe
0.000 0.000 0.000 Fe
0.381 0.297 0.939 P
0.208 0.712 0.666 P
0.619 0.703 0.061 P
0.792 0.288 0.334 P
0.235 0.528 0.845 O
0.048 0.655 0.547 O
0.469 0.698 0.552 O
0.667 0.694 0.856 O
0.253 0.155 0.891 O
0.333 0.306 0.144 O
0.070 0.907 0.752 O
0.765 0.472 0.155 O
0.329 0.743 0.141 O
0.930 0.093 0.248 O
0.671 0.257 0.859 O
0.747 0.845 0.109 O
0.531 0.302 0.448 O
0.952 0.345 0.453 O
```

- excess energy over the best structure of this formula in the dataset (meV/atom) = 110.5
- V (Å³/cell) = 262
- space-group type = P-1 (2)
- spin magnetization (μB/f.u.) = 14.00

Compound: FePO4
Source: the Materials Project database
Functional: GGA+U
Structure: relaxed

Structure (POSCAR):
```
FePO4
1.0
-6.618 3.532 -0.033
0.429 -7.183 -2.121
-1.488 -2.705 8.859
O P Fe
24 6 6
Direct
0.667 0.333 0.391 O
0.880 0.105 0.543 O
0.667 0.333 0.652 O
0.000 0.000 0.319 O
0.417 0.888 0.666 O
0.000 0.000 0.819 O
0.472 0.583 0.666 O
0.528 0.112 0.166 O
0.105 0.880 0.043 O
0.775 0.895 0.043 O
0.888 0.417 0.166 O
0.112 0.528 0.666 O
0.333 0.667 0.891 O
0.522 0.867 0.374 O
0.133 0.655 0.374 O
0.583 0.472 0.166 O
0.225 0.120 0.543 O
0.867 0.522 0.874 O
0.120 0.225 0.043 O
0.333 0.667 0.152 O
0.478 0.345 0.874 O
0.345 0.478 0.374 O
0.895 0.775 0.543 O
0.655 0.133 0.874 O
0.333 0.667 0.326 P
0.667 0.333 0.217 P
0.333 0.667 0.717 P
0.667 0.333 0.826 P
0.000 0.000 0.477 P
0.000 0.000 0.977 P
0.555 0.940 0.027 Fe
0.615 0.060 0.527 Fe
0.060 0.615 0.027 Fe
0.385 0.445 0.027 Fe
0.940 0.555 0.527 Fe
0.445 0.385 0.527 Fe
```

- total DFT energy (no corrections) (eV per atom) = -6.97
- V (Å³/cell) = 457
- space-group type = P31c (159)
- spin magnetization (μB/f.u.) = 5.00

Compound: FeP2O7
Source: the Materials Project database
Functional: GGA+U
Structure: relaxed

Structure (POSCAR):
```
FeP2O7
1.0
6.633 0.000 2.203
0.000 8.832 0.000
-0.185 0.000 9.488
O P Fe
28 8 4
Direct
0.369 0.797 0.951 O
0.108 0.724 0.289 O
0.631 0.203 0.049 O
0.256 0.213 0.081 O
0.503 0.869 0.616 O
0.892 0.276 0.711 O
0.369 0.703 0.451 O
0.256 0.287 0.581 O
0.522 0.585 0.640 O
0.744 0.787 0.919 O
0.108 0.776 0.789 O
0.107 0.131 0.351 O
0.503 0.631 0.116 O
0.478 0.085 0.860 O
0.869 0.911 0.221 O
0.892 0.224 0.211 O
0.107 0.369 0.851 O
0.893 0.631 0.149 O
0.631 0.297 0.549 O
0.131 0.089 0.779 O
0.131 0.411 0.279 O
0.869 0.589 0.721 O
0.478 0.415 0.360 O
0.497 0.131 0.384 O
0.893 0.869 0.649 O
0.497 0.369 0.884 O
0.744 0.713 0.419 O
0.522 0.915 0.140 O
0.096 0.250 0.736 P
0.524 0.785 0.035 P
0.904 0.750 0.264 P
0.476 0.215 0.965 P
0.524 0.715 0.535 P
0.096 0.250 0.236 P
0.476 0.285 0.465 P
0.904 0.750 0.764 P
0.682 0.429 0.698 Fe
0.318 0.571 0.302 Fe
0.318 0.929 0.802 Fe
0.682 0.071 0.198 Fe
```

- excess energy over the best structure of this formula in the dataset (meV/atom) = 60.9
- V (Å³/cell) = 559
- space-group type = P2_1/c (14)
- spin magnetization (μB/f.u.) = 4.00

Compound: FeP5O15
Source: the Materials Project database
Functional: GGA+U
Structure: relaxed

Structure (POSCAR):
```
FeP5O15
1.0
5.079 0.000 -0.837
0.000 13.856 0.000
0.363 0.000 8.737
O P Fe
30 10 2
Direct
0.731 0.127 0.500 O
0.457 0.662 0.130 O
0.520 0.985 0.293 O
0.240 0.476 0.947 O
0.269 0.873 0.500 O
0.097 0.250 0.494 O
0.678 0.750 0.914 O
0.193 0.423 0.450 O
0.894 0.865 0.284 O
0.193 0.077 0.450 O
0.480 0.015 0.707 O
0.809 0.250 0.096 O
0.731 0.373 0.500 O
0.191 0.750 0.904 O
0.480 0.485 0.707 O
0.322 0.250 0.086 O
0.760 0.524 0.053 O
0.894 0.635 0.284 O
0.760 0.976 0.053 O
0.903 0.750 0.506 O
0.520 0.515 0.293 O
0.807 0.923 0.550 O
0.543 0.162 0.870 O
0.457 0.838 0.130 O
0.543 0.338 0.870 O
0.106 0.365 0.716 O
0.269 0.627 0.500 O
0.240 0.024 0.947 O
0.807 0.577 0.550 O
0.106 0.135 0.716 O
0.019 0.142 0.535 P
0.019 0.358 0.535 P
0.551 0.250 0.994 P
0.449 0.750 0.006 P
0.342 0.423 0.820 P
0.981 0.858 0.465 P
0.981 0.642 0.465 P
0.342 0.077 0.820 P
0.658 0.923 0.180 P
0.658 0.577 0.180 P
0.500 0.000 0.500 Fe
0.500 0.500 0.500 Fe
```

- excess energy over the best structure of this formula in the dataset (meV/atom) = 39.9
- V (Å³/cell) = 619
- space-group type = P2_1/m (11)